(1)
A geometry-optimized CeCo2B2C structure. Source: the Materials Project, functional meta-GGA r2SCAN.

POSCAR file:
```
CeCo2B2C
1.0
-1.807 1.807 4.981
1.807 -1.807 4.981
1.807 1.807 -4.981
Ce Co B C
1 2 2 1
Direct
0.500 0.500 0.000
0.750 0.250 0.500
0.250 0.750 0.500
0.153 0.153 0.000
0.847 0.847 0.000
0.000 0.000 0.000
```

Output
- Uncorrected energy: -84.45 eV for the cell shown


(2)
A geometry-optimized NaPuO3 structure. Source: the Materials Project, functional meta-GGA r2SCAN.

POSCAR file:
```
NaPuO3
1.0
4.206 0.000 0.000
0.000 4.206 0.000
0.000 0.000 4.207
Na Pu O
1 1 3
Direct
0.000 0.000 0.000
0.500 0.500 0.500
0.500 0.500 0.000
0.500 0.000 0.500
0.000 0.500 0.500
```

Output
- Uncorrected energy: -121.36 eV for the cell shown